{"formula": "Nb2Ni2O9", "functional": "PBE+U", "state": "optimized geometry", "final_energy_ev_per_cell": -174.22, "ef_mev_per_atom": -1698.5, "energy_mp2020_ry_per_atom": -0.556, "spacegroup": "P6_3/mcm, No. 193", "lattice_angstrom": [[2.4233, -4.1973, 0.0000], [2.4233, 4.1973, 0.0000], [0.0000, 0.0000, 14.2181]], "species": ["O", "O", "O", "O", "O", "O", "O", "O", "O", "O", "O", "O", "O", "O", "O", "O", "O", "O", "Ni", "Ni", "Ni", "Ni", "Nb", "Nb", "Nb", "Nb"], "frac_coords": [[0.0000, 0.6449, 0.4254], [0.3000, 0.0000, 0.2500], [0.6449, 0.6449, 0.9254], [0.0000, 0.7000, 0.7500], [0.0000, 0.3000, 0.2500], [0.0000, 0.3551, 0.9254], [0.3551, 0.0000, 0.9254], [0.3551, 0.0000, 0.5746], [0.3551, 0.3551, 0.0746], [0.7000, 0.7000, 0.2500], [0.6449, 0.6449, 0.5746], [0.0000, 0.6449, 0.0746], [0.6449, 0.0000, 0.4254], [0.0000, 0.3551, 0.5746], [0.6449, 0.0000, 0.0746], [0.7000, 0.0000, 0.7500], [0.3000, 0.3000, 0.7500], [0.3551, 0.3551, 0.4254], [0.6667, 0.3333, 0.0000], [0.3333, 0.6667, 0.5000], [0.3333, 0.6667, 0.0000], [0.6667, 0.3333, 0.5000], [0.0000, 0.0000, 0.8412], [0.0000, 0.0000, 0.6588], [0.0000, 0.0000, 0.3412], [0.0000, 0.0000, 0.1588]]}

***

{"formula": "Fe10O9F11", "functional": "PBE+U", "state": "optimized geometry", "final_energy_ev_per_cell": -178.42, "ef_mev_per_atom": -2065.2, "energy_mp2020_ry_per_atom": -0.520, "e_above_lowest_polymorph_mev_per_atom": 20.8, "spacegroup": "P1, No. 1", "lattice_angstrom": [[-0.1927, 4.7547, -0.2301], [-3.3831, -0.5688, -3.3078], [-10.7998, 0.0266, 11.0999]], "species": ["F", "F", "F", "F", "F", "F", "F", "F", "F", "F", "F", "Fe", "Fe", "Fe", "Fe", "Fe", "Fe", "Fe", "Fe", "Fe", "Fe", "O", "O", "O", "O", "O", "O", "O", "O", "O"], "frac_coords": [[0.7910, 0.2117, 0.3062], [0.7087, 0.7125, 0.4053], [0.8065, 0.2014, 0.8965], [0.8021, 0.1877, 0.0965], [0.8113, 0.1897, 0.7012], [0.7082, 0.7144, 0.7943], [0.1954, 0.8084, 0.5007], [0.1943, 0.8084, 0.7005], [0.2871, 0.2890, 0.1986], [0.1972, 0.7888, 0.0968], [0.8109, 0.1900, 0.4999], [0.9797, 0.9648, 0.2036], [0.9908, 0.9902, 0.5993], [0.0382, 0.0163, 0.3896], [0.4611, 0.5165, 0.9072], [0.4947, 0.4867, 0.6968], [0.5187, 0.5008, 0.0939], [0.4743, 0.5239, 0.2978], [0.4903, 0.4832, 0.5045], [0.0112, 0.9863, 0.9986], [0.0389, 0.0171, 0.8079], [0.3177, 0.3208, 0.4034], [0.2012, 0.8027, 0.3054], [0.3175, 0.3230, 0.7974], [0.6720, 0.6699, 0.1990], [0.6976, 0.6916, 0.6005], [0.2954, 0.2896, 0.6011], [0.6982, 0.6993, 0.9974], [0.2976, 0.3000, 0.0021], [0.1921, 0.8154, 0.8982]]}

***

{"formula": "SrCa7Mn6Cr2O21", "functional": "PBE+U", "state": "optimized geometry", "final_energy_ev_per_cell": -1037.40, "ef_mev_per_atom": -2537.0, "energy_mp2020_ry_per_atom": -0.572, "e_above_lowest_polymorph_mev_per_atom": 0.0, "spacegroup": "P1, No. 1", "lattice_angstrom": [[10.9963, -0.0531, -0.1150], [-0.0707, 15.5147, -0.0039], [-0.1114, -0.0011, 10.9905]], "species": ["Ca", "Ca", "Ca", "Ca", "Ca", "Ca", "Ca", "Ca", "Ca", "Ca", "Ca", "Ca", "Ca", "Ca", "Ca", "Ca", "Ca", "Ca", "Ca", "Ca", "Ca", "Ca", "Ca", "Ca", "Ca", "Ca", "Ca", "Ca", "O", "O", "O", "O", "O", "O", "O", "O", "O", "O", "O", "O", "O", "O", "O", "O", "O", "O", "O", "O", "O", "O", "O", "O", "O", "O", "O", "O", "O", "O", "O", "O", "O", "O", "O", "O", "O", "O", "O", "O", "O", "O", "O", "O", "O", "O", "O", "O", "O", "O", "O", "O", "O", "O", "O", "O", "O", "O", "O", "O", "O", "O", "O", "O", "O", "O", "O", "O", "O", "O", "O", "O", "O", "O", "O", "O", "O", "O", "O", "O", "O", "O", "O", "O", "Mn", "Mn", "Mn", "Mn", "Mn", "Mn", "Mn", "Mn", "Mn", "Mn", "Mn", "Mn", "Mn", "Mn", "Mn", "Mn", "Mn", "Mn", "Mn", "Mn", "Mn", "Mn", "Mn", "Mn", "Cr", "Cr", "Cr", "Cr", "Cr", "Cr", "Cr", "Cr", "Sr", "Sr", "Sr", "Sr"], "frac_coords": [[0.9577, 0.3880, 0.5002], [0.5453, 0.1262, 0.4791], [0.0141, 0.6224, 0.9919], [0.9562, 0.8798, 0.9991], [0.5329, 0.6218, 0.9742], [0.2330, 0.4054, 0.7601], [0.7768, 0.1180, 0.2517], [0.2369, 0.6259, 0.2607], [0.4943, 0.8670, 0.5103], [0.2269, 0.8878, 0.2715], [0.7635, 0.8694, 0.2567], [0.2189, 0.8717, 0.7375], [0.7397, 0.8656, 0.7502], [0.0089, 0.6244, 0.5095], [0.9637, 0.3882, 0.0063], [0.7818, 0.1180, 0.7530], [0.5177, 0.8599, 0.9863], [0.5464, 0.1289, 0.9868], [0.7342, 0.3854, 0.7491], [0.9688, 0.8716, 0.5089], [0.9954, 0.1081, 0.0040], [0.5303, 0.6301, 0.5111], [0.7529, 0.3831, 0.2507], [0.7817, 0.6215, 0.2526], [0.2676, 0.6303, 0.7380], [0.2227, 0.1097, 0.7410], [0.5022, 0.3808, 0.5156], [0.7722, 0.6233, 0.7568], [0.0059, 0.6284, 0.2153], [0.8927, 0.5185, 0.8960], [0.2259, 0.6546, 0.0547], [0.5876, 0.2528, 0.5873], [0.9938, 0.1285, 0.2172], [0.7382, 0.3794, 0.4645], [0.2299, 0.6262, 0.5237], [0.1493, 0.0031, 0.8607], [0.7464, 0.6256, 0.5454], [0.0156, 0.3808, 0.8014], [0.3599, 0.5175, 0.1586], [0.5187, 0.8720, 0.7803], [0.9203, 0.2370, 0.9235], [0.4064, 0.6962, 0.3598], [0.0996, 0.9742, 0.1084], [0.2909, 0.3275, 0.0246], [0.5901, 0.2549, 0.0953], [0.8914, 0.5197, 0.3889], [0.4096, 0.7302, 0.8974], [0.7439, 0.8716, 0.4648], [0.7541, 0.1239, 0.5390], [0.6409, 0.5162, 0.8578], [0.1724, 0.2527, 0.8067], [0.9051, 0.2430, 0.4160], [0.0032, 0.8701, 0.7935], [0.8659, 0.7701, 0.1408], [0.6248, 0.5309, 0.3626], [0.8792, 0.0128, 0.3881], [0.2184, 0.1348, 0.0164], [0.4774, 0.8695, 0.2931], [0.9989, 0.8721, 0.2909], [0.6300, 0.0240, 0.3449], [0.5897, 0.9922, 0.0810], [0.1475, 0.5273, 0.8593], [0.2810, 0.3596, 0.4992], [0.6619, 0.2262, 0.8550], [0.1522, 0.2486, 0.3322], [0.8451, 0.9773, 0.6435], [0.3955, 0.1928, 0.3594], [0.7487, 0.3773, 0.9661], [0.6025, 0.4901, 0.6096], [0.0994, 0.7703, 0.6074], [0.3874, 0.5129, 0.8982], [0.4875, 0.6264, 0.7194], [0.5894, 0.9945, 0.5823], [0.1590, 0.7496, 0.3360], [0.8535, 0.7706, 0.6470], [0.6039, 0.7630, 0.6044], [0.8840, 0.0116, 0.8948], [0.6308, 0.0307, 0.8472], [0.1492, 0.5105, 0.3572], [0.8975, 0.7329, 0.9007], [0.7536, 0.1241, 0.0384], [0.3947, 0.1851, 0.8542], [0.5962, 0.7541, 0.1087], [0.6580, 0.7210, 0.3556], [0.1449, 0.0099, 0.3642], [0.2952, 0.8759, 0.9890], [0.8537, 0.2780, 0.1487], [0.7482, 0.6255, 0.0373], [0.4896, 0.3751, 0.7598], [0.0966, 0.4751, 0.6167], [0.3571, 0.7667, 0.6435], [0.2835, 0.8807, 0.4733], [0.1012, 0.9752, 0.6122], [0.3522, 0.0025, 0.1616], [0.6146, 0.4938, 0.1093], [0.0023, 0.3807, 0.2854], [0.8459, 0.9782, 0.1400], [0.6495, 0.7276, 0.8553], [0.2384, 0.1314, 0.5371], [0.7393, 0.8724, 0.9660], [0.8935, 0.7305, 0.4066], [0.1449, 0.7353, 0.8471], [0.8596, 0.4856, 0.1441], [0.3495, 0.9964, 0.6693], [0.6606, 0.2238, 0.3537], [0.0009, 0.1278, 0.7303], [0.3532, 0.4944, 0.6391], [0.8584, 0.2791, 0.6509], [0.8550, 0.4802, 0.6459], [0.4722, 0.3815, 0.2978], [0.1108, 0.4827, 0.1039], [0.9857, 0.6249, 0.7158], [0.7507, 0.2500, 0.5024], [0.2496, 0.7518, 0.4981], [0.7446, 0.5048, 0.5012], [0.7538, 0.7460, 0.0000], [0.5075, 0.4965, 0.2453], [0.5079, 0.9906, 0.7370], [0.7522, 0.5041, 0.9997], [0.5033, 0.7475, 0.7482], [0.9971, 0.7500, 0.7490], [0.9955, 0.5005, 0.7541], [0.4960, 0.5031, 0.7463], [0.2589, 0.7557, 0.9741], [0.2514, 0.5208, 0.0078], [0.7536, 0.7463, 0.5052], [0.7562, 0.2496, 0.0032], [0.5071, 0.9825, 0.2334], [0.5154, 0.2580, 0.2573], [0.2364, 0.4980, 0.5101], [0.5162, 0.2482, 0.7489], [0.7430, 0.9996, 0.9969], [0.0017, 0.5022, 0.2512], [0.7448, 0.9974, 0.4972], [0.5208, 0.7486, 0.2633], [0.9977, 0.7506, 0.2614], [0.9830, 0.2537, 0.2655], [0.2668, 0.2333, 0.9405], [0.9940, 0.9964, 0.2521], [0.2387, 0.9921, 0.0120], [0.2695, 0.2413, 0.4592], [0.9950, 0.9936, 0.7543], [0.9883, 0.2567, 0.7684], [0.2394, 0.9982, 0.5170], [0.5095, 0.3850, 0.9862], [0.2381, 0.3867, 0.2461], [0.0002, 0.1145, 0.5039], [0.2287, 0.1199, 0.2384]]}

***

{"formula": "Ba2LiV2Si4O14", "functional": "PBE+U", "state": "optimized geometry", "final_energy_ev_per_cell": -170.01, "ef_mev_per_atom": -2962.7, "energy_mp2020_ry_per_atom": -0.585, "e_above_lowest_polymorph_mev_per_atom": 67.9, "spacegroup": "Amm2, No. 38", "lattice_angstrom": [[-2.6116, -3.6340, 3.2134], [-5.2197, 4.9601, 1.3675], [-2.8579, -0.8116, -7.9656]], "species": ["O", "O", "O", "O", "O", "O", "O", "O", "O", "O", "O", "O", "O", "O", "Ba", "Ba", "Si", "Si", "Si", "Si", "V", "V", "Li"], "frac_coords": [[0.9027, 0.5628, 0.2923], [0.4148, 0.9372, 0.2924], [0.6117, 0.4411, 0.7222], [0.1353, 0.0588, 0.7222], [0.6325, 0.2500, 0.2399], [0.5158, 0.5240, 0.0068], [0.6116, 0.0589, 0.7222], [0.1354, 0.4411, 0.7222], [0.5158, 0.9760, 0.0068], [0.9027, 0.9372, 0.2923], [0.3836, 0.7500, 0.7421], [0.0237, 0.2500, 0.0225], [0.0190, 0.7500, 0.0131], [0.4147, 0.5628, 0.2924], [0.8064, 0.7500, 0.5877], [0.1724, 0.2500, 0.3197], [0.6142, 0.4802, 0.2034], [0.4159, 0.5358, 0.8068], [0.4158, 0.9642, 0.8068], [0.6142, 0.0198, 0.2034], [0.9127, 0.2500, 0.8006], [0.1203, 0.7500, 0.2155], [0.3472, 0.2500, 0.6698]]}